Entry 1:
Material: Na15Ca4Ta8Si9P9O72
Method: DFT, PBE
State: optimized geometry

Results
Energy relative to the elements: -348.89 eV/f.u.
E_tot: -7.49 eV/atom
Space-group type: P1, No. 1
Magnetization: 0.0 Bohr magnetons per cell

Unit cell a=9.0997 b=9.1361 c=22.6725 alpha=89.97 beta=89.97 gamma=120.09
With the nearest neighbours (Å) after each atom.
Positions (direct):
Na  0.6463  0.0166  0.2408  4 O 2.27-2.52
Na  0.9847  0.6289  0.2406  4 O 2.26-2.48
Na  0.6431  0.6276  0.7410  4 O 2.33-2.46
Na  0.3659  0.0178  0.7416  3 O 2.26-2.50
Na  0.3193  0.3410  0.5875  6 O 2.39-2.67
Na  0.9624  0.6826  0.9143  5 O 2.34-2.61
Na  0.7112  0.0280  0.9136  4 O 2.36-2.46
Na  0.9621  0.2859  0.4141  4 O 2.32-2.53
Na  0.7092  0.6789  0.4127  4 O 2.27-2.51
Na  0.0122  0.9929  0.4951  3 O 2.34-2.59
Na  0.0127  0.0061  0.9963  5 O 2.39-2.66
Na  0.6668  0.3325  0.8271  6 O 2.54-2.72
Na  0.6386  0.3222  0.3275  5 O 2.45-2.73
Na  0.3326  0.6608  0.1625  6 O 2.60-2.73
Na  0.3174  0.6670  0.6635  6 O 2.53-2.82
Ca  0.0140  0.0038  0.3562  6 O 2.13-2.38
Ca  0.0092  0.0094  0.8565  6 O 2.14-2.32
Ca  0.6743  0.3323  0.6782  5 O 2.12-2.36
Ca  0.6615  0.3321  0.1772  6 O 2.20-2.38
Ta  0.9975  0.9999  0.6443  6 O 1.94-2.10
Ta  0.0002  0.9981  0.1443  6 O 1.94-2.10
Ta  0.6618  0.3335  0.9840  6 O 1.95-2.18
Ta  0.6652  0.3334  0.4831  6 O 1.94-2.16
Ta  0.3385  0.6727  0.0210  6 O 1.90-2.05
Ta  0.3301  0.6674  0.5203  6 O 1.92-2.01
Ta  0.3291  0.6603  0.3131  6 O 1.92-2.12
Ta  0.3346  0.6642  0.8136  6 O 1.92-2.12
Si  0.9635  0.3329  0.5827  4 O 1.56-1.68
Si  0.3685  0.0325  0.5861  4 O 1.58-1.69
Si  0.6675  0.6327  0.5841  4 O 1.59-1.70
Si  0.9660  0.6319  0.0855  4 O 1.57-1.70
Si  0.6697  0.0355  0.0853  4 O 1.57-1.69
Si  0.6149  0.6517  0.9179  4 O 1.60-1.70
Si  0.3440  0.9612  0.9178  4 O 1.58-1.71
Si  0.3424  0.3813  0.4192  4 O 1.59-1.71
Si  0.0355  0.6560  0.4178  4 O 1.59-1.71
P  0.2932  0.9929  0.2504  4 O 1.49-1.62
P  0.7035  0.7114  0.2522  4 O 1.51-1.61
P  0.0081  0.2961  0.2519  4 O 1.52-1.61
P  0.2909  0.3001  0.7493  4 O 1.50-1.60
P  0.0063  0.7108  0.7528  4 O 1.51-1.60
P  0.7009  0.9925  0.7535  4 O 1.51-1.63
P  0.3654  0.3333  0.0827  4 O 1.49-1.60
P  0.0423  0.3885  0.9196  4 O 1.51-1.60
P  0.6085  0.9579  0.4164  4 O 1.52-1.59
O  0.2134  0.0062  0.3063  1 P 1.49
O  0.7958  0.7863  0.3095  1 P 1.51
O  0.9828  0.2021  0.3095  1 P 1.52
O  0.2111  0.1926  0.8029  1 P 1.50
O  0.9894  0.7857  0.8103  1 P 1.51
O  0.7874  0.0034  0.8114  1 P 1.51
O  0.8036  0.9746  0.6997  1 P 1.59
O  0.1822  0.2083  0.6922  1 P 1.59
O  0.0299  0.8356  0.6993  1 P 1.60
O  0.8087  0.8358  0.1984  1 P 1.61
O  0.0273  0.1972  0.1980  1 P 1.58
O  0.1757  0.9737  0.1954  1 P 1.59
O  0.9102  0.3865  0.6407  1 Si 1.56
O  0.4588  0.0866  0.6479  1 Si 1.58
O  0.6041  0.5202  0.6420  1 Si 1.59
O  0.9106  0.5392  0.1469  1 Si 1.57
O  0.6255  0.0868  0.1462  1 Si 1.57
O  0.4673  0.3787  0.1379  1 P 1.49
O  0.4637  0.3038  0.0294  1 P 1.60
O  0.8300  0.5260  0.0295  1 Si 1.70
O  0.6924  0.1666  0.0291  1 Si 1.69
O  0.4754  0.1739  0.5319  1 Si 1.69
O  0.6984  0.5290  0.5277  1 Si 1.70
O  0.8365  0.3013  0.5246  1 Si 1.68
O  0.5016  0.6591  0.9709  1 Si 1.61
O  0.1504  0.4826  0.9724  1 P 1.51
O  0.3348  0.8376  0.9711  1 Si 1.63
O  0.5130  0.8452  0.4687  1 P 1.52
O  0.3437  0.4952  0.4737  1 Si 1.61
O  0.1582  0.6656  0.4710  1 Si 1.62
O  0.1379  0.6391  0.3573  1 Si 1.71
O  0.5039  0.8689  0.3584  1 P 1.59
O  0.3665  0.5069  0.3597  1 Si 1.71, 1 Ta 1.92
O  0.1347  0.4984  0.8624  1 P 1.60
O  0.3658  0.8614  0.8574  1 Si 1.71
O  0.4989  0.6330  0.8567  1 Si 1.70
O  0.9963  0.8067  0.4212  1 Si 1.59
O  0.7846  0.9763  0.4151  1 P 1.53
O  0.1676  0.2076  0.4222  1 Si 1.59
O  0.0082  0.2087  0.9180  1 P 1.51
O  0.1731  0.9671  0.9208  1 Si 1.58
O  0.7972  0.8210  0.9196  1 Si 1.60
O  0.9803  0.1591  0.5916  1 Si 1.68
O  0.1821  0.0284  0.5907  1 Si 1.68
O  0.8424  0.8181  0.5932  1 Si 1.66
O  0.9825  0.8232  0.0915  1 Si 1.68
O  0.8482  0.0259  0.0914  1 Si 1.68
O  0.1897  0.1650  0.0887  1 P 1.57
O  0.6590  0.1330  0.7478  1 P 1.52
O  0.4733  0.3340  0.7450  1 P 1.53
O  0.8506  0.5374  0.7453  1 P 1.52
O  0.6796  0.5365  0.2439  1 P 1.51
O  0.8599  0.3288  0.2447  1 P 1.53
O  0.4759  0.1363  0.2458  1 P 1.52
O  0.6352  0.4823  0.9241  1 Si 1.65
O  0.8675  0.3851  0.9230  1 P 1.58
O  0.5249  0.1427  0.9239  1 Si 1.66
O  0.6232  0.1344  0.4222  1 P 1.56
O  0.5204  0.3737  0.4227  1 Si 1.66
O  0.8537  0.4720  0.4218  1 Si 1.67
O  0.3288  0.4763  0.0674  1 P 1.54
O  0.1543  0.6610  0.0690  1 Si 1.64
O  0.5157  0.8417  0.0698  1 Si 1.65
O  0.3346  0.8453  0.5692  1 Si 1.62
O  0.5140  0.6686  0.5672  1 Si 1.63
O  0.1624  0.4815  0.5690  1 Si 1.66
O  0.2957  0.8170  0.2524  1 P 1.62
O  0.5281  0.7115  0.2531  1 P 1.60
O  0.1790  0.4775  0.2551  1 P 1.61
O  0.2983  0.4778  0.7543  1 P 1.60
O  0.1791  0.7058  0.7543  1 P 1.60
O  0.5221  0.8140  0.7533  1 P 1.63

***

Entry 2:
Material: Na9Ca2Ta10Si9P9O72
Method: DFT, PBE
State: optimized geometry

Results
Energy relative to the elements: -340.87 eV/f.u.
E_tot: -7.93 eV/atom
Space-group type: P1, No. 1
Magnetization: 0.0 Bohr magnetons per cell

Unit cell a=8.9382 b=8.9282 c=22.8978 alpha=90.00 beta=89.99 gamma=119.94
With the nearest neighbours (Å) after each atom.
Positions (direct):
Na  0.6335  0.0085  0.2478  3 O 2.25-2.47
Na  0.3772  0.3664  0.2471  3 O 2.28-2.38
Na  0.9922  0.3669  0.7470  4 O 2.29-2.56
Na  0.0001  0.9994  0.4987  6 O 2.59-2.61
Na  0.9999  0.9993  0.9993  6 O 2.56-2.63
Na  0.6539  0.3322  0.8286  1 O 2.27
Na  0.6795  0.3450  0.3293  2 O 2.36-2.39
Na  0.3250  0.6647  0.1651  6 O 2.58-2.73
Na  0.3422  0.6733  0.6658  6 O 2.61-2.76
Ca  0.6573  0.3327  0.6855  6 O 2.19-2.33
Ca  0.6760  0.3421  0.1839  6 O 2.17-2.36
Ta  0.9940  0.9977  0.3578  6 O 1.92-2.05
Ta  0.0052  0.0028  0.8576  6 O 1.90-2.02
Ta  0.0027  0.0027  0.6458  6 O 1.91-2.08
Ta  0.9972  0.0006  0.1460  6 O 1.92-2.10
Ta  0.6672  0.3344  0.9780  6 O 1.95-2.07
Ta  0.6663  0.3343  0.4782  6 O 1.95-2.07
Ta  0.3335  0.6663  0.0170  6 O 1.92-2.03
Ta  0.3329  0.6661  0.5174  6 O 1.92-2.04
Ta  0.3299  0.6637  0.3143  6 O 1.92-2.10
Ta  0.3377  0.6677  0.8136  6 O 1.91-2.11
Si  0.7111  0.7123  0.2523  4 O 1.58-1.69
Si  0.0029  0.2895  0.2520  4 O 1.58-1.69
Si  0.2899  0.2901  0.7522  4 O 1.57-1.70
Si  0.6223  0.6670  0.9166  4 O 1.62-1.65
Si  0.0449  0.3800  0.9160  4 O 1.62-1.64
Si  0.3354  0.9550  0.9164  4 O 1.62-1.64
Si  0.6195  0.9556  0.4165  4 O 1.62-1.64
Si  0.3336  0.3774  0.4167  4 O 1.62-1.66
Si  0.0444  0.6664  0.4171  4 O 1.62-1.65
P  0.2767  0.9910  0.2516  4 O 1.53-1.58
P  0.0074  0.7205  0.7520  4 O 1.52-1.58
P  0.7141  0.9917  0.7517  4 O 1.52-1.58
P  0.9624  0.3344  0.5834  4 O 1.51-1.59
P  0.3725  0.0373  0.5825  4 O 1.49-1.59
P  0.6658  0.6288  0.5824  4 O 1.49-1.58
P  0.9642  0.6295  0.0819  4 O 1.49-1.58
P  0.6648  0.0363  0.0829  4 O 1.51-1.59
P  0.3703  0.3336  0.0828  4 O 1.51-1.57
O  0.1882  0.0156  0.3051  1 P 1.53
O  0.8332  0.8169  0.3075  1 Si 1.63
O  0.9904  0.1680  0.3071  1 Si 1.63
O  0.1759  0.1686  0.8069  1 Si 1.64
O  0.9868  0.8130  0.8053  1 P 1.53
O  0.8263  0.0087  0.8051  1 P 1.54
O  0.8017  0.9676  0.6952  1 P 1.58
O  0.1589  0.1914  0.6940  1 Si 1.70
O  0.0261  0.8315  0.6959  1 P 1.58
O  0.8082  0.8396  0.1939  1 Si 1.69
O  0.0372  0.1957  0.1932  1 Si 1.69
O  0.1667  0.9683  0.1952  1 P 1.58
O  0.9031  0.3693  0.6410  1 P 1.51
O  0.4732  0.0993  0.6376  1 P 1.49
O  0.6277  0.5279  0.6374  1 P 1.49
O  0.9038  0.5295  0.1371  1 P 1.49
O  0.6288  0.0947  0.1404  1 P 1.51
O  0.4645  0.3690  0.1403  1 P 1.51
O  0.4686  0.3094  0.0302  1 P 1.57
O  0.8429  0.5358  0.0284  1 P 1.57
O  0.6921  0.1590  0.0303  1 P 1.56
O  0.4625  0.1577  0.5286  1 P 1.57
O  0.6933  0.5358  0.5285  1 P 1.57
O  0.8406  0.3075  0.5306  1 P 1.56
O  0.5286  0.6953  0.9728  1 Si 1.62
O  0.1677  0.4720  0.9721  1 Si 1.62
O  0.3056  0.8333  0.9728  1 Si 1.62
O  0.5259  0.8324  0.4723  1 Si 1.62
O  0.3052  0.4723  0.4724  1 Si 1.62
O  0.1663  0.6935  0.4731  1 Si 1.62
O  0.1368  0.6351  0.3598  1 Si 1.65
O  0.5023  0.8684  0.3577  1 Si 1.64
O  0.3658  0.4990  0.3583  1 Si 1.66
O  0.1335  0.4995  0.8577  1 Si 1.64
O  0.3650  0.8628  0.8593  1 Si 1.64
O  0.4973  0.6346  0.8596  1 Si 1.65
O  0.0259  0.8365  0.4093  1 Si 1.62
O  0.8108  0.9768  0.4101  1 Si 1.63
O  0.1665  0.1873  0.4089  1 Si 1.62
O  0.0205  0.1876  0.9084  1 Si 1.63
O  0.1647  0.9748  0.9088  1 Si 1.63
O  0.8115  0.8347  0.9078  1 Si 1.62
O  0.9777  0.1650  0.5884  1 P 1.59
O  0.1866  0.0189  0.5893  1 P 1.59
O  0.8326  0.8131  0.5882  1 P 1.58
O  0.9818  0.8139  0.0875  1 P 1.58
O  0.8339  0.0211  0.0877  1 P 1.59
O  0.1876  0.1657  0.0868  1 P 1.57
O  0.7066  0.1581  0.7490  1 P 1.52
O  0.4746  0.3095  0.7543  1 Si 1.57
O  0.8553  0.5368  0.7497  1 P 1.52
O  0.6712  0.5183  0.2529  1 Si 1.58
O  0.8271  0.2922  0.2521  1 Si 1.58
O  0.4563  0.1502  0.2478  1 P 1.53
O  0.6401  0.4949  0.9277  1 Si 1.64
O  0.8543  0.3591  0.9276  1 Si 1.64
O  0.5046  0.1459  0.9280  1 Si 1.64
O  0.6410  0.1466  0.4279  1 Si 1.64
O  0.5060  0.3604  0.4276  1 Si 1.64
O  0.8546  0.4948  0.4279  1 Si 1.64
O  0.3444  0.4913  0.0707  1 P 1.56
O  0.1483  0.6565  0.0699  1 P 1.56
O  0.5091  0.8527  0.0707  1 P 1.56
O  0.3425  0.8522  0.5703  1 P 1.56
O  0.5092  0.6567  0.5702  1 P 1.57
O  0.1464  0.4897  0.5710  1 P 1.56
O  0.2962  0.8275  0.2566  1 P 1.56
O  0.5243  0.7117  0.2567  1 Si 1.67
O  0.1843  0.4767  0.2566  1 Si 1.65
O  0.2880  0.4758  0.7566  1 Si 1.67
O  0.1764  0.7088  0.7565  1 P 1.57
O  0.5328  0.8280  0.7568  1 P 1.55